Model P:
Computed, not measured: crystalline KI2O6 at its relaxed geometry at the GGA-PBE level of DFT.

Geometry as POSCAR:
```
KI2O6
1.0
-5.595 2.197 -4.459
-5.679 -3.408 5.445
-1.007 17.389 9.833
O K I
48 8 16
direct
0.895 0.128 0.526
0.116 0.379 0.358
0.799 0.421 0.533
0.799 0.079 0.033
0.895 0.372 0.026
0.348 0.806 0.134
0.914 0.274 0.754
0.604 0.568 0.987
0.105 0.872 0.026
0.086 0.726 0.254
0.604 0.245 0.271
0.216 0.287 0.593
0.396 0.068 0.987
0.396 0.432 0.487
0.604 0.932 0.487
0.359 0.072 0.705
0.729 0.859 0.963
0.348 0.694 0.634
0.271 0.141 0.463
0.604 0.255 0.771
0.201 0.921 0.533
0.884 0.621 0.858
0.729 0.641 0.463
0.396 0.745 0.271
0.784 0.787 0.593
0.086 0.774 0.754
0.281 0.750 0.414
0.236 0.114 0.287
0.884 0.879 0.358
0.216 0.213 0.093
0.784 0.713 0.093
0.914 0.226 0.254
0.396 0.755 0.771
0.641 0.572 0.705
0.201 0.579 0.033
0.271 0.359 0.963
0.105 0.628 0.526
0.652 0.194 0.634
0.236 0.386 0.787
0.719 0.250 0.414
0.281 0.750 0.914
0.764 0.614 0.287
0.359 0.428 0.205
0.652 0.306 0.134
0.116 0.121 0.858
0.764 0.886 0.787
0.641 0.928 0.205
0.719 0.250 0.914
0.990 0.537 0.657
0.010 0.463 0.157
0.479 0.015 0.853
0.990 0.963 0.157
0.010 0.037 0.657
0.521 0.985 0.353
0.521 0.515 0.853
0.479 0.485 0.353
0.687 0.264 0.005
0.040 0.184 0.333
0.815 0.677 0.004
0.313 0.736 0.505
0.960 0.684 0.333
0.815 0.823 0.504
0.687 0.236 0.505
0.526 0.743 0.191
0.313 0.764 0.005
0.960 0.816 0.833
0.185 0.323 0.504
0.474 0.243 0.191
0.526 0.757 0.691
0.040 0.316 0.833
0.185 0.177 0.004
0.474 0.257 0.691
```

Space-group type ... Pca2_1, No. 29
Magnetic moment ... 0.1112 μB/atom

***

Model Q:
Computed, not measured: crystalline KI2O6 at its relaxed geometry at the GGA-PBE level of DFT.

Geometry as POSCAR:
```
KI2O6
1.0
7.753 0.000 0.000
0.000 7.205 0.000
0.000 3.833 22.590
O I K
48 16 8
direct
0.209 0.347 0.534
0.709 0.329 0.720
0.630 0.397 0.869
0.370 0.603 0.131
0.091 0.251 0.163
0.922 0.311 0.051
0.422 0.689 0.449
0.409 0.251 0.663
0.791 0.329 0.220
0.291 0.347 0.034
0.405 0.317 0.229
0.678 0.021 0.658
0.905 0.683 0.271
0.409 0.412 0.377
0.130 0.603 0.631
0.591 0.588 0.623
0.791 0.653 0.466
0.095 0.317 0.729
0.322 0.979 0.342
0.635 0.353 0.111
0.865 0.353 0.611
0.595 0.683 0.771
0.637 0.015 0.451
0.909 0.588 0.123
0.709 0.653 0.966
0.861 0.904 0.564
0.870 0.397 0.369
0.209 0.671 0.780
0.639 0.904 0.064
0.591 0.749 0.337
0.137 0.985 0.049
0.909 0.749 0.837
0.291 0.671 0.280
0.139 0.096 0.436
0.365 0.647 0.889
0.091 0.412 0.877
0.578 0.311 0.551
0.361 0.096 0.936
0.047 0.990 0.662
0.178 0.979 0.842
0.547 0.010 0.838
0.078 0.689 0.949
0.135 0.647 0.389
0.822 0.021 0.158
0.363 0.985 0.549
0.953 0.010 0.338
0.863 0.015 0.951
0.453 0.990 0.162
0.366 0.662 0.353
0.109 0.223 0.009
0.617 0.653 0.850
0.866 0.338 0.147
0.359 0.140 0.855
0.859 0.860 0.645
0.134 0.662 0.853
0.609 0.777 0.491
0.391 0.223 0.509
0.883 0.653 0.350
0.117 0.347 0.650
0.634 0.338 0.647
0.641 0.860 0.145
0.141 0.140 0.355
0.891 0.777 0.991
0.383 0.347 0.150
0.118 0.739 0.508
0.630 0.171 0.319
0.130 0.829 0.181
0.618 0.261 0.992
0.370 0.829 0.681
0.870 0.171 0.819
0.382 0.739 0.008
0.882 0.261 0.492
```

Space-group type ... P2_1/c, No. 14
Magnetic moment ... 0.0000 μB/atom

***

Out of the structures above, which one is the least stable? Solution: model P.